## S (meta-GGA r2SCAN)

Data for S after structural relaxation.

```
data_S
_cell_length_a 18.811
_cell_length_b 13.558
_cell_length_c 8.941
_cell_angle_alpha 90.00
_cell_angle_beta 90.00
_cell_angle_gamma 90.00
_space_group_name_H-M_alt 'P b c n'
_space_group_IT_number 60
_space_group_name_Hall '-P 2n 2ab'
loop_
_atom_site_label
_atom_site_type_symbol
_atom_site_fract_x
_atom_site_fract_y
_atom_site_fract_z
S1 S 0.052 0.023 0.216
S2 S 0.053 0.296 0.226
S3 S 0.073 0.398 0.061
S4 S 0.093 0.471 0.668
S5 S 0.095 0.209 0.667
S6 S 0.101 0.095 0.818
S7 S 0.182 0.198 0.527
S8 S 0.196 0.477 0.746
S9 S 0.235 0.235 0.135
S10 S 0.239 0.087 0.089
```

Calculated values
Excess energy over the best structure of this formula in the dataset, eV per formula unit: 0.014


## S (meta-GGA r2SCAN)

Data for S after structural relaxation.

```
data_S
_cell_length_a 13.339
_cell_length_b 12.938
_cell_length_c 18.077
_cell_angle_alpha 90.00
_cell_angle_beta 110.18
_cell_angle_gamma 90.00
_space_group_name_H-M_alt 'P 1 21/c 1'
_space_group_IT_number 14
_space_group_name_Hall '-P 2ybc'
loop_
_atom_site_label
_atom_site_type_symbol
_atom_site_fract_x
_atom_site_fract_y
_atom_site_fract_z
S1 S 0.012 0.176 0.242
S2 S 0.049 0.597 0.602
S3 S 0.051 0.170 0.760
S4 S 0.072 0.593 0.720
S5 S 0.076 0.655 0.375
S6 S 0.088 0.129 0.564
S7 S 0.099 0.092 0.456
S8 S 0.142 0.715 0.585
S9 S 0.177 0.546 0.970
S10 S 0.204 0.142 0.110
S11 S 0.227 0.202 0.629
S12 S 0.235 0.669 0.387
S13 S 0.238 0.104 0.010
S14 S 0.262 0.557 0.233
S15 S 0.280 0.532 0.351
S16 S 0.293 0.657 0.618
S17 S 0.314 0.194 0.364
S18 S 0.339 0.508 0.999
S19 S 0.342 0.061 0.320
S20 S 0.358 0.693 0.738
S21 S 0.386 0.555 0.912
S22 S 0.399 0.076 0.044
S23 S 0.407 0.555 0.223
S24 S 0.460 0.228 0.919
S25 S 0.470 0.214 0.034
S26 S 0.476 0.707 0.256
```

Calculated values
Excess energy over the best structure of this formula in the dataset, eV per formula unit: 0.026


## S (meta-GGA r2SCAN)

Data for S after structural relaxation.

```
data_S
_cell_length_a 4.811
_cell_length_b 9.269
_cell_length_c 14.909
_cell_angle_alpha 90.00
_cell_angle_beta 90.00
_cell_angle_gamma 90.00
_space_group_name_H-M_alt 'P n n m'
_space_group_IT_number 58
_space_group_name_Hall '-P 2 2n'
loop_
_atom_site_label
_atom_site_type_symbol
_atom_site_fract_x
_atom_site_fract_y
_atom_site_fract_z
S1 S 0.000 0.000 0.224
S2 S 0.008 0.312 0.112
S3 S 0.226 0.731 0.000
S4 S 0.233 0.131 0.142
```

Calculated values
Excess energy over the best structure of this formula in the dataset, eV per formula unit: 0.010


## S (meta-GGA r2SCAN)

Data for S after structural relaxation.

```
data_S
_cell_length_a 19.812
_cell_length_b 9.712
_cell_length_c 9.035
_cell_angle_alpha 90.00
_cell_angle_beta 100.72
_cell_angle_gamma 90.00
_space_group_name_H-M_alt 'C 1 2/c 1'
_space_group_IT_number 15
_space_group_name_Hall '-C 2yc'
loop_
_atom_site_label
_atom_site_type_symbol
_atom_site_fract_x
_atom_site_fract_y
_atom_site_fract_z
S1 S 0.048 0.027 0.313
S2 S 0.048 0.402 0.816
S3 S 0.052 0.187 0.468
S4 S 0.103 0.437 0.246
S5 S 0.130 0.315 0.432
S6 S 0.207 0.168 0.150
S7 S 0.211 0.200 0.797
S8 S 0.229 0.058 0.970
```

Calculated values
Excess energy over the best structure of this formula in the dataset, eV per formula unit: 0.034